# Ti4H5

Crystalline Ti4H5 at its relaxed geometry (r2SCAN, the Materials Project).

Lattice parameters (Å, degrees): 4.246 4.246 4.502 90.00 90.00 90.00
Space group P-42m (No. 111)
Asymmetric unit:
Ti1 0.244 0.244 0.246 (multiplicity 4)
H1 0.000 0.500 0.000 (multiplicity 2)
H2 0.000 0.500 0.500 (multiplicity 2)
H3 0.500 0.500 0.500 (multiplicity 1)

## Properties
Electronic total energy: -73.0 eV/f.u.
Calculated volume: 81.2 Å³/cell
Total magnetic moment: 0.0 μB per formula unit

# Sc2ZnIr

Crystalline Sc2ZnIr at its relaxed geometry (r2SCAN, the Materials Project).

Lattice parameters (Å, degrees): 6.529 6.529 6.529 90.00 90.00 90.00
Space group Fm-3m (No. 225)
Asymmetric unit:
Sc1 0.250 0.250 0.250 (multiplicity 8)
Zn1 0.000 0.000 0.000 (multiplicity 4)
Ir1 0.000 0.000 0.500 (multiplicity 4)

## Properties
Electronic total energy: -87.2 eV/f.u.
Calculated volume: 278.4 Å³/cell
Total magnetic moment: 0.0 μB per formula unit

# NdInPd2

Crystalline NdInPd2 at its relaxed geometry (r2SCAN, the Materials Project).

Lattice parameters (Å, degrees): 6.897 6.897 6.897 90.00 90.00 90.00
Space group Fm-3m (No. 225)
Asymmetric unit:
Nd1 0.000 0.000 0.000 (multiplicity 4)
In1 0.000 0.000 0.500 (multiplicity 4)
Pd1 0.250 0.250 0.250 (multiplicity 8)

## Properties
Electronic total energy: -101.0 eV/f.u.
Calculated volume: 328.0 Å³/cell
Total magnetic moment: 0.0 μB per formula unit

# SnBr4

Crystalline SnBr4 at its relaxed geometry (r2SCAN, the Materials Project).

Lattice parameters (Å, degrees): 10.591 7.134 10.722 90.00 102.36 90.00
Space group P2_1/c (No. 14)
Asymmetric unit:
Sn1 0.248 0.077 0.367 (multiplicity 4)
Br1 0.061 0.075 0.185 (multiplicity 4)
Br2 0.191 0.586 0.049 (multiplicity 4)
Br3 0.311 0.098 0.926 (multiplicity 4)
Br4 0.430 0.585 0.806 (multiplicity 4)

## Properties
Electronic total energy: -81.7 eV/f.u.
Calculated volume: 791.4 Å³/cell
Total magnetic moment: 0.0 μB per formula unit

# YbCd

Crystalline YbCd at its relaxed geometry (r2SCAN, the Materials Project).

Lattice parameters (Å, degrees): 3.653 3.653 3.653 90.00 90.00 90.00
Space group Pm-3m (No. 221)
Asymmetric unit:
Yb1 0.000 0.000 0.000 (multiplicity 1)
Cd1 0.500 0.500 0.500 (multiplicity 1)

## Properties
Electronic total energy: -57.4 eV/f.u.
Calculated volume: 48.8 Å³/cell
Total magnetic moment: 0.0 μB per formula unit

# Tb2Mo2O7

Crystalline Tb2Mo2O7 at its relaxed geometry (r2SCAN, the Materials Project).

Lattice parameters (Å, degrees): 10.287 10.287 10.287 90.00 90.00 90.00
Space group Fd-3m (No. 227, origin choice 2)
Asymmetric unit:
Tb1 0.000 0.000 0.000 (multiplicity 16)
Mo1 0.000 0.000 0.500 (multiplicity 16)
O1 0.086 0.375 0.875 (multiplicity 48)
O2 0.125 0.125 0.125 (multiplicity 8)

## Properties
Electronic total energy: -188.7 eV/f.u.
Calculated volume: 1088.5 Å³/cell
Total magnetic moment: 4.0 μB per formula unit

- The highest calculated volume belongs to which entry?
  Tb2Mo2O7